Density functional theory data (GGA-PBE) for a relaxed Ba4MgTa10O30 crystal.

total moment	0.00	μB per formula unit
calculated volume	13.92	A^3/atom
ΔH_f (0 K)	-3422	meV per atom

a b c (Å): 10.038 10.038 10.038
angles (deg): 133.53 117.82 81.06
Atoms (fractional coordinates):
Ba: 0.451 0.951 0.500
Ba: 0.461 0.461 0.000
Ba: 0.050 0.050 0.000
Ba: 0.052 0.552 0.500
Mg: 0.728 0.728 0.000
Ta: 0.811 0.877 0.439
Ta: 0.811 0.372 0.933
Ta: 0.439 0.877 0.067
Ta: 0.439 0.372 0.561
Ta: 0.255 0.505 0.251
Ta: 0.255 0.004 0.749
Ta: 0.059 0.627 0.932
Ta: 0.059 0.127 0.432
Ta: 0.695 0.127 0.068
Ta: 0.695 0.627 0.568
O: 0.029 0.899 0.609
O: 0.029 0.421 0.130
O: 0.291 0.899 0.870
O: 0.291 0.421 0.391
O: 0.821 0.132 0.690
O: 0.771 0.623 0.148
O: 0.442 0.132 0.310
O: 0.475 0.623 0.852
O: 0.220 0.100 0.619
O: 0.220 0.600 0.119
O: 0.481 0.100 0.881
O: 0.481 0.600 0.381
O: 0.585 0.314 0.728
O: 0.585 0.857 0.272
O: 0.926 0.671 0.746
O: 0.926 0.180 0.254
O: 0.888 0.542 0.920
O: 0.888 0.969 0.346
O: 0.622 0.969 0.080
O: 0.622 0.542 0.654
O: 0.057 0.379 0.679
O: 0.076 0.898 0.177
O: 0.700 0.379 0.321
O: 0.721 0.898 0.823
O: 0.258 0.746 0.992
O: 0.258 0.266 0.512
O: 0.754 0.746 0.488
O: 0.754 0.266 0.008
O: 0.258 0.758 0.500
O: 0.250 0.250 0.000